Crystalline SiO2 at its relaxed geometry. Source: the Materials Project, functional PBE-GGA.

abc: 10.1798 10.1798 10.1798
angles: 90.00 90.00 90.00
Last column: nearest neighbours and their distance in Å.
Space group I2_13 (No. 199)
Asymmetric unit:
1 Si 0.1160 0.1538 0.7315  4 O 1.63-1.67
2 O 0.0000 0.2500 0.4251  2 Si 1.63
3 O 0.0000 0.2500 0.6676  2 Si 1.67
4 O 0.1385 0.3501 0.2445  2 Si 1.65

energy	-7.6698	eV/atom
density	2.27	g/cm3
ΔH_f (0 K)	-3.021	eV/atom